No. 1
LuGaPd2 | r2SCAN | optimized geometry

Structure (POSCAR):
```
LuGaPd2
1.0
0.000 3.239 3.239
3.239 0.000 3.239
3.239 3.239 0.000
Pd Ga Lu
2 1 1
Direct
0.500 0.500 0.500
0.000 0.000 0.000
0.250 0.250 0.250
0.750 0.750 0.750
```

## Properties
ΔE_f   -0.8918 eV per atom
Symmetry   Fm-3m
Crystal system   cubic
Final energy   -24.753 eV/atom

***

No. 2
Lu4Ga12Pd | r2SCAN | optimized geometry

Structure (POSCAR):
```
Lu4Ga12Pd
1.0
2.696 -6.789 0.484
-6.917 0.056 2.399
0.181 2.206 -6.978
Ga Lu Pd
12 4 1
Direct
0.500 0.750 0.250
0.500 0.250 0.750
0.000 0.703 0.703
0.703 0.703 0.000
0.000 0.297 0.297
0.703 0.000 0.703
0.250 0.750 0.500
0.750 0.250 0.500
0.297 0.297 0.000
0.750 0.500 0.250
0.250 0.500 0.750
0.297 0.000 0.297
0.500 0.500 0.500
0.500 0.000 0.000
0.000 0.500 0.000
0.000 0.000 0.500
0.000 0.000 0.000
```

## Properties
ΔE_f   -0.5915 eV per atom
Symmetry   Im-3m
Crystal system   cubic
Final energy   -18.979 eV/atom

***

No. 3
LuGaPd | r2SCAN | optimized geometry

Structure (POSCAR):
```
LuGaPd
1.0
4.390 0.000 0.000
0.000 6.751 0.000
0.000 0.000 7.518
Lu Ga Pd
4 4 4
Direct
0.250 0.987 0.298
0.750 0.513 0.798
0.750 0.013 0.702
0.250 0.487 0.202
0.750 0.682 0.422
0.250 0.318 0.578
0.250 0.818 0.922
0.750 0.182 0.078
0.250 0.720 0.594
0.750 0.780 0.094
0.250 0.220 0.906
0.750 0.280 0.406
```

## Properties
ΔE_f   -0.9552 eV per atom
Symmetry   Pnma
Crystal system   orthorhombic
Final energy   -25.116 eV/atom

***

No. 4
LuGaRh2 | r2SCAN | optimized geometry

Structure (POSCAR):
```
LuGaRh2
1.0
0.000 3.157 3.157
3.157 0.000 3.157
3.157 3.157 0.000
Rh Lu Ga
2 1 1
Direct
0.000 0.000 0.000
0.500 0.500 0.500
0.750 0.750 0.750
0.250 0.250 0.250
```

## Properties
ΔE_f   -0.9892 eV per atom
Symmetry   Fm-3m
Crystal system   cubic
Final energy   -25.438 eV/atom

***

No. 5
Lu2GaRu | r2SCAN | optimized geometry

Structure (POSCAR):
```
Lu2GaRu
1.0
-1.385 0.463 4.556
-4.577 -0.719 1.193
-1.234 -3.869 2.530
Ru Lu Ga
1 2 1
Direct
0.000 0.000 0.000
0.250 0.250 0.250
0.750 0.750 0.750
0.500 0.500 0.500
```

## Properties
ΔE_f   -0.5929 eV per atom
Symmetry   Fm-3m
Crystal system   cubic
Final energy   -28.850 eV/atom

***

No. 6
LuTi2Ga4 | r2SCAN | optimized geometry

Structure (POSCAR):
```
LuTi2Ga4
1.0
5.362 -0.270 -0.802
-2.858 4.106 -2.108
-0.541 0.587 5.370
Ga Ti Lu
4 2 1
Direct
0.303 0.697 0.000
0.697 0.303 0.000
0.303 0.303 0.606
0.697 0.697 0.394
0.750 0.250 0.500
0.250 0.750 0.500
0.000 0.000 0.000
```

## Properties
ΔE_f   -0.5828 eV per atom
Symmetry   I4/mmm
Crystal system   tetragonal
Final energy   -16.258 eV/atom

***

No. 7
MgGa2 | r2SCAN | optimized geometry

Structure (POSCAR):
```
MgGa2
1.0
-3.428 -2.374 -1.014
3.944 -1.633 -0.433
-0.272 -2.377 6.485
Ga Mg
4 2
Direct
0.667 0.333 0.949
0.333 0.667 0.449
0.667 0.333 0.551
0.333 0.667 0.051
0.000 0.000 0.250
0.000 0.000 0.750
```

## Properties
ΔE_f   -0.1495 eV per atom
Symmetry   P6_3/mmc
Crystal system   hexagonal
Final energy   -9.168 eV/atom

***

No. 8
MgGa3 | r2SCAN | optimized geometry

Structure (POSCAR):
```
MgGa3
1.0
2.929 -5.073 0.000
2.929 5.073 0.000
0.000 0.000 4.832
Mg Ga
2 6
Direct
0.333 0.667 0.250
0.667 0.333 0.750
0.163 0.837 0.750
0.837 0.163 0.250
0.325 0.163 0.250
0.675 0.837 0.750
0.837 0.675 0.250
0.163 0.325 0.750
```

## Properties
ΔE_f   -0.0108 eV per atom
Symmetry   P6_3/mmc
Crystal system   hexagonal
Final energy   -9.635 eV/atom

***

No. 9
Mg5Ga2 | r2SCAN | optimized geometry

Structure (POSCAR):
```
Mg5Ga2
1.0
0.090 1.206 -5.851
6.481 -2.532 -0.425
-5.765 -5.482 1.832
Mg Ga
10 4
Direct
0.584 0.430 0.168
0.518 0.768 0.535
0.250 0.000 0.000
0.916 0.263 0.832
0.019 0.768 0.537
0.981 0.232 0.463
0.482 0.232 0.465
0.416 0.570 0.832
0.084 0.737 0.168
0.750 0.000 0.000
0.122 0.387 0.245
0.878 0.613 0.755
0.622 0.858 0.245
0.378 0.142 0.755
```

## Properties
ΔE_f   -0.1337 eV per atom
Symmetry   C2/c
Crystal system   monoclinic
Final energy   -6.381 eV/atom

***

No. 10
MgGa3 | r2SCAN | optimized geometry

Structure (POSCAR):
```
MgGa3
1.0
4.923 -2.400 -1.006
3.024 -1.576 4.403
-4.755 -0.553 -2.846
Ga Mg
3 1
Direct
0.662 0.000 0.662
0.753 0.748 0.005
0.257 0.252 0.005
0.162 0.500 0.662
```

## Properties
ΔE_f   0.0063 eV per atom
Symmetry   Imm2
Crystal system   orthorhombic
Final energy   -9.618 eV/atom

***

No. 11
MgGa2 | r2SCAN | optimized geometry

Structure (POSCAR):
```
MgGa2
1.0
1.088 -4.075 2.762
4.826 -1.108 0.948
2.759 0.166 5.957
Mg Ga
2 4
Direct
0.882 0.118 0.750
0.118 0.882 0.250
0.218 0.460 0.749
0.460 0.218 0.249
0.782 0.540 0.251
0.540 0.782 0.751
```

## Properties
ΔE_f   -0.0498 eV per atom
Symmetry   C2/c
Crystal system   monoclinic
Final energy   -9.068 eV/atom

***

No. 12
MgGa2 | r2SCAN | optimized geometry

Structure (POSCAR):
```
MgGa2
1.0
2.464 -4.604 0.000
2.464 4.604 0.000
0.000 0.000 4.912
Mg Ga
2 4
Direct
0.236 0.236 0.250
0.764 0.764 0.750
0.092 0.446 0.750
0.554 0.908 0.250
0.908 0.554 0.250
0.446 0.092 0.750
```

## Properties
ΔE_f   -0.0279 eV per atom
Symmetry   Cmcm
Crystal system   orthorhombic
Final energy   -9.046 eV/atom

***

No. 13
MgGa3 | r2SCAN | optimized geometry

Structure (POSCAR):
```
MgGa3
1.0
4.128 0.000 0.000
0.000 4.128 0.000
0.000 0.000 4.128
Ga Mg
3 1
Direct
0.500 0.500 0.000
0.000 0.500 0.500
0.500 0.000 0.500
0.000 0.000 0.000
```

## Properties
ΔE_f   -0.0392 eV per atom
Symmetry   Pm-3m
Crystal system   cubic
Final energy   -9.664 eV/atom

***

No. 14
MgGa2 | r2SCAN | optimized geometry

Structure (POSCAR):
```
MgGa2
1.0
2.640 0.410 -7.138
-3.546 2.570 6.238
4.000 1.693 1.577
Mg Ga
2 4
Direct
0.107 0.893 0.500
0.787 0.213 0.500
0.448 0.552 0.500
0.670 0.330 0.000
0.333 0.667 0.000
0.989 0.011 0.000
```

## Properties
ΔE_f   -0.0156 eV per atom
Symmetry   Amm2
Crystal system   orthorhombic
Final energy   -9.034 eV/atom

***

No. 15
Mg2Ga5 | r2SCAN | optimized geometry

Structure (POSCAR):
```
Mg2Ga5
1.0
-2.408 0.542 6.571
-1.343 -5.801 -3.718
6.981 0.116 0.651
Ga Mg
10 4
Direct
0.294 0.294 0.000
0.818 0.520 0.703
0.520 0.818 0.703
0.480 0.182 0.297
0.115 0.818 0.297
0.182 0.480 0.297
0.182 0.885 0.703
0.885 0.182 0.703
0.706 0.706 0.000
0.818 0.115 0.297
0.299 0.299 0.598
0.299 0.701 0.000
0.701 0.299 0.000
0.701 0.701 0.402
```

## Properties
ΔE_f   -0.1376 eV per atom
Symmetry   I4/mmm
Crystal system   tetragonal
Final energy   -9.502 eV/atom

***

No. 16
MgGa2 | r2SCAN | optimized geometry

Structure (POSCAR):
```
MgGa2
1.0
1.640 5.264 0.017
-1.640 5.264 0.017
0.000 2.166 6.436
Ga Mg
4 2
Direct
0.192 0.192 0.867
0.151 0.151 0.455
0.849 0.849 0.545
0.808 0.808 0.133
0.519 0.519 0.216
0.481 0.481 0.784
```

## Properties
ΔE_f   -0.0292 eV per atom
Symmetry   C2/m
Crystal system   monoclinic
Final energy   -9.047 eV/atom

***

No. 17
MgGa2 | r2SCAN | optimized geometry

Structure (POSCAR):
```
MgGa2
1.0
2.582 -4.473 0.000
2.582 4.473 0.000
0.000 0.000 4.807
Mg Ga
2 4
Direct
0.333 0.667 0.500
0.667 0.333 0.500
0.334 0.334 0.000
0.666 0.000 0.000
0.000 0.666 0.000
0.000 0.000 0.500
```

## Properties
ΔE_f   0.0142 eV per atom
Symmetry   P-62m
Crystal system   hexagonal
Final energy   -9.004 eV/atom

***

No. 18
MgGa3 | r2SCAN | optimized geometry

Structure (POSCAR):
```
MgGa3
1.0
-0.895 2.745 0.835
-4.517 -0.992 -1.581
-1.180 -1.744 4.467
Ga Mg
3 1
Direct
0.500 0.500 0.839
0.500 0.000 0.501
0.000 0.000 0.990
0.000 0.500 0.338
```

## Properties
ΔE_f   -0.0021 eV per atom
Symmetry   Pmm2
Crystal system   orthorhombic
Final energy   -9.626 eV/atom

***

No. 19
MgGa2 | r2SCAN | optimized geometry

Structure (POSCAR):
```
MgGa2
1.0
4.115 0.000 0.000
0.000 6.652 0.000
0.000 0.000 16.187
Ga Mg
16 8
Direct
0.500 0.477 0.658
0.000 0.102 0.933
0.000 0.898 0.066
0.500 0.857 0.563
0.000 0.602 0.567
0.500 0.405 0.190
0.000 0.398 0.434
0.500 0.143 0.438
0.500 0.523 0.342
0.500 0.595 0.810
0.500 0.095 0.690
0.500 0.977 0.842
0.500 0.905 0.310
0.500 0.644 0.062
0.500 0.357 0.937
0.500 0.023 0.158
0.000 0.827 0.422
0.000 0.699 0.221
0.000 0.199 0.279
0.000 0.673 0.922
0.000 0.327 0.078
0.000 0.800 0.721
0.000 0.173 0.578
0.000 0.300 0.779
```

## Properties
ΔE_f   -0.1433 eV per atom
Symmetry   Pbam
Crystal system   orthorhombic
Final energy   -9.162 eV/atom

***

No. 20
Mg7Ga | r2SCAN | optimized geometry

Structure (POSCAR):
```
Mg7Ga
1.0
3.129 -5.419 0.000
3.129 5.419 0.000
0.000 0.000 5.044
Ga Mg
1 7
Direct
0.333 0.667 0.000
0.333 0.167 0.000
0.499 0.997 0.500
0.003 0.501 0.500
0.499 0.501 0.500
0.833 0.167 0.000
0.000 0.000 0.500
0.833 0.667 0.000
```

## Properties
ΔE_f   -0.0147 eV per atom
Symmetry   P-6m2
Crystal system   hexagonal
Final energy   -5.093 eV/atom